(1)
First-principles (PBE) data for a relaxed Na4ScGaSiP2O12 crystal, as listed in the Materials Project.

abc: 9.0228 9.0132 22.1778
angles: 90.00 89.82 120.02
Last column: nearest neighbours and their distance in Å.
Sites, in units of the cell vectors:
Na 0.6353 0.0014 0.2518  6 O 2.41-2.69
Na 0.3641 0.3669 0.2498  5 O 2.37-2.65
Na 0.0018 0.6284 0.2506  6 O 2.47-2.63
Na 0.6351 0.6367 0.7480  6 O 2.44-2.71
Na 0.9963 0.3624 0.7502  5 O 2.40-2.67
Na 0.3727 0.0022 0.7489  6 O 2.49-2.64
Na 0.2993 0.3298 0.5827  6 O 2.40-2.69
Na 0.0375 0.7057 0.5825  6 O 2.43-2.65
Na 0.6653 0.9662 0.5861  5 O 2.43-2.58
Na 0.2973 0.9652 0.0828  6 O 2.45-2.70
Na 0.6711 0.6986 0.0833  6 O 2.44-2.69
Na 0.0318 0.3351 0.0866  6 O 2.46-2.74
Na 0.9723 0.6709 0.9190  6 O 2.46-2.75
Na 0.6944 0.0319 0.9142  6 O 2.46-2.73
Na 0.3333 0.2973 0.9167  6 O 2.46-2.71
Na 0.9662 0.3019 0.4142  6 O 2.48-2.73
Na 0.3306 0.0310 0.4186  6 O 2.48-2.71
Na 0.7020 0.6667 0.4166  6 O 2.46-2.69
Na 0.0030 0.9981 0.4998  6 O 2.50-2.61
Na 0.0027 0.9968 0.0011  6 O 2.47-2.60
Na 0.6642 0.3269 0.8323  6 O 2.46-2.61
Na 0.6717 0.3343 0.3348  6 O 2.47-2.63
Na 0.3275 0.6629 0.1679  6 O 2.46-2.60
Na 0.3377 0.6729 0.6663  6 O 2.43-2.61
Sc 0.9989 0.0005 0.8491  6 O 2.00-2.15
Sc 0.6752 0.3358 0.1859  5 O 1.95-2.17
Sc 0.6684 0.3361 0.9843  6 O 2.03-2.15
Sc 0.3278 0.6696 0.0178  6 O 1.97-2.19
Sc 0.3295 0.6734 0.5171  5 O 1.98-2.17
Sc 0.3399 0.6764 0.8144  5 O 1.96-2.18
Ga 0.9989 0.9973 0.3495  4 O 1.89-1.98
Ga 0.0024 0.9994 0.6497  4 O 1.89-2.00
Ga 0.0017 0.9999 0.1518  6 O 1.91-2.12
Ga 0.6649 0.3239 0.6825  4 O 1.87-2.01
Ga 0.6668 0.3352 0.4843  4 O 1.92-2.01
Ga 0.3200 0.6560 0.3175  4 O 1.90-2.07
Si 0.0045 0.2883 0.2516  4 O 1.64-1.67
Si 0.7107 0.0053 0.7464  4 O 1.63-1.66
Si 0.3747 0.0465 0.5840  4 O 1.63-1.67
Si 0.9644 0.6374 0.0852  4 O 1.63-1.65
Si 0.3335 0.9667 0.9165  4 O 1.63-1.64
Si 0.0333 0.6667 0.4155  4 O 1.64-1.66
P 0.2883 0.9966 0.2512  4 O 1.55-1.56
P 0.7068 0.7124 0.2514  4 O 1.55-1.56
P 0.2955 0.2925 0.7474  4 O 1.54-1.56
P 0.9945 0.7030 0.7472  4 O 1.54-1.56
P 0.9544 0.3303 0.5838  4 O 1.55-1.56
P 0.6696 0.6220 0.5845  4 O 1.55-1.56
P 0.6706 0.0372 0.0846  4 O 1.54-1.55
P 0.3686 0.3300 0.0850  4 O 1.54-1.56
P 0.6273 0.6659 0.9168  4 O 1.53-1.55
P 0.0396 0.3720 0.9163  4 O 1.54-1.55
P 0.6266 0.9590 0.4148  4 O 1.55-1.56
P 0.3339 0.3729 0.4158  4 O 1.55-1.56
O 0.2066 0.0296 0.3075  1 P 1.55
O 0.8233 0.7906 0.3073  1 P 1.55
O 0.9676 0.1657 0.3107  1 Si 1.64
O 0.2174 0.1810 0.8043  1 P 1.54
O 0.9646 0.7825 0.8044  1 P 1.54
O 0.8247 0.0393 0.8073  1 Si 1.63
O 0.8012 0.9677 0.6885  1 Si 1.64
O 0.1791 0.2086 0.6917  1 P 1.55
O 0.0329 0.8221 0.6917  1 P 1.55
O 0.7877 0.8240 0.1941  1 P 1.55
O 0.0385 0.2040 0.1910  1 Si 1.65
O 0.1757 0.9622 0.1943  1 P 1.55
O 0.8767 0.3687 0.6401  1 P 1.55
O 0.4958 0.1293 0.6431  1 Si 1.63
O 0.6392 0.5084 0.6411  1 P 1.55
O 0.8761 0.5119 0.1432  1 Si 1.63
O 0.6344 0.1178 0.1401  1 P 1.54
O 0.4819 0.3596 0.1407  1 P 1.54
O 0.4497 0.2989 0.0281  1 P 1.55
O 0.8453 0.5544 0.0252  1 Si 1.64
O 0.7005 0.1496 0.0280  1 P 1.55
O 0.4600 0.1673 0.5237  1 Si 1.65
O 0.7024 0.5430 0.5271  1 P 1.56
O 0.8417 0.2989 0.5270  1 P 1.56
O 0.5456 0.6944 0.9731  1 P 1.53
O 0.1511 0.4523 0.9725  1 P 1.54
O 0.2995 0.8458 0.9756  1 Si 1.63
O 0.5476 0.8464 0.4717  1 P 1.55
O 0.3022 0.4537 0.4723  1 P 1.55
O 0.1548 0.7067 0.4748  1 Si 1.64
O 0.1196 0.6264 0.3569  1 Si 1.64
O 0.5098 0.8740 0.3589  1 P 1.56
O 0.3697 0.4905 0.3595  1 P 1.56
O 0.1222 0.4832 0.8597  1 P 1.54
O 0.3672 0.8789 0.8572  1 Si 1.64
O 0.5148 0.6345 0.8603  1 P 1.55
O 0.0157 0.8406 0.4083  1 Si 1.66
O 0.8078 0.9782 0.4100  1 P 1.56
O 0.1711 0.1924 0.4098  1 P 1.56
O 0.0194 0.1913 0.9120  1 P 1.55
O 0.1612 0.9830 0.9120  1 Si 1.64
O 0.8065 0.8283 0.9112  1 P 1.55
O 0.9718 0.1674 0.5890  1 P 1.56
O 0.1807 0.0252 0.5900  1 Si 1.67
O 0.8318 0.8039 0.5887  1 P 1.56
O 0.9814 0.8279 0.0922  1 Si 1.65
O 0.8346 0.0231 0.0903  1 P 1.55
O 0.1882 0.1673 0.0895  1 P 1.56
O 0.6925 0.1792 0.7426  1 Si 1.66
O 0.4779 0.3155 0.7423  1 P 1.56
O 0.8307 0.5245 0.7412  1 P 1.55
O 0.6836 0.5294 0.2461  1 P 1.56
O 0.8325 0.3084 0.2478  1 Si 1.65
O 0.4676 0.1600 0.2457  1 P 1.55
O 0.6470 0.5048 0.9208  1 P 1.55
O 0.8603 0.3555 0.9218  1 P 1.55
O 0.5061 0.1556 0.9210  1 Si 1.64
O 0.6432 0.1394 0.4209  1 P 1.56
O 0.4968 0.3551 0.4206  1 P 1.56
O 0.8424 0.4917 0.4238  1 Si 1.66
O 0.3528 0.4926 0.0790  1 P 1.55
O 0.1525 0.6512 0.0811  1 Si 1.64
O 0.5117 0.8560 0.0790  1 P 1.55
O 0.3556 0.8547 0.5798  1 Si 1.65
O 0.5069 0.6392 0.5792  1 P 1.56
O 0.1370 0.4900 0.5784  1 P 1.56
O 0.3111 0.8364 0.2566  1 P 1.56
O 0.5276 0.6968 0.2575  1 P 1.56
O 0.1785 0.4819 0.2557  1 Si 1.67
O 0.3099 0.4710 0.7529  1 P 1.55
O 0.1544 0.6809 0.7526  1 P 1.56
O 0.5201 0.8315 0.7504  1 Si 1.65

size of the total moment	0.00	μB/f.u.
E (MP2020)	-7.104	eV/atom
formation energy from the elements	-2805	meV/atom
symmetry	P1, No. 1


(2)
First-principles (PBE) data for a relaxed Na7Ga4SiP5O24 crystal, as listed in the Materials Project.

abc: 8.7986 8.8060 21.6397
angles: 90.21 89.50 119.95
Last column: nearest neighbours and their distance in Å.
Sites, in units of the cell vectors:
Na 0.3656 0.3668 0.2507  6 O 2.39-2.55
Na 0.9968 0.6305 0.2484  6 O 2.41-2.62
Na 0.6340 0.6367 0.7489  6 O 2.39-2.57
Na 0.9960 0.3637 0.7518  5 O 2.35-2.60
Na 0.3712 0.0009 0.7488  6 O 2.42-2.60
Na 0.2986 0.3278 0.5817  6 O 2.39-2.61
Na 0.0353 0.7023 0.5829  6 O 2.41-2.60
Na 0.6638 0.9650 0.5861  6 O 2.41-2.56
Na 0.2981 0.9650 0.0833  6 O 2.42-2.58
Na 0.6711 0.7012 0.0824  6 O 2.39-2.61
Na 0.0343 0.3378 0.0846  6 O 2.39-2.61
Na 0.9646 0.6649 0.9187  6 O 2.41-2.62
Na 0.7020 0.0336 0.9147  6 O 2.40-2.58
Na 0.9679 0.3001 0.4157  6 O 2.39-2.59
Na 0.3362 0.0358 0.4182  6 O 2.41-2.62
Na 0.9917 0.9881 0.4990  6 O 2.44-2.53
Na 0.0118 0.0082 0.9990  6 O 2.42-2.55
Na 0.6547 0.3292 0.8345  6 O 2.41-2.54
Na 0.6668 0.3334 0.3333  6 O 2.43-2.49
Na 0.3413 0.6783 0.1678  6 O 2.45-2.56
Na 0.3373 0.6725 0.6666  6 O 2.41-2.55
Ga 0.9935 0.9936 0.3504  6 O 1.91-2.14
Ga 0.0030 0.0073 0.8506  5 O 1.88-2.05
Ga 0.0003 0.9987 0.6497  6 O 1.89-2.11
Ga 0.9968 0.9938 0.1499  6 O 1.95-2.09
Ga 0.6634 0.3228 0.6837  5 O 1.88-2.07
Ga 0.6712 0.3298 0.1840  6 O 1.89-2.11
Ga 0.6644 0.3382 0.9831  5 O 1.90-2.06
Ga 0.6601 0.3351 0.4822  6 O 1.89-2.10
Ga 0.3278 0.6651 0.0171  6 O 1.94-2.09
Ga 0.3370 0.6729 0.5164  6 O 1.94-2.10
Ga 0.3398 0.6731 0.3163  6 O 1.91-2.14
Ga 0.3397 0.6709 0.8164  6 O 1.94-2.09
Si 0.7087 0.0007 0.7506  4 O 1.63-1.65
Si 0.3709 0.0384 0.5827  4 O 1.63-1.65
Si 0.9600 0.6268 0.0834  4 O 1.63-1.65
P 0.2958 0.0008 0.2506  4 O 1.54-1.55
P 0.7052 0.7087 0.2497  4 O 1.54-1.56
P 0.9966 0.2886 0.2509  4 O 1.54-1.57
P 0.2913 0.2918 0.7498  4 O 1.53-1.55
P 0.9994 0.7075 0.7509  4 O 1.54-1.55
P 0.9582 0.3343 0.5819  4 O 1.54-1.55
P 0.6668 0.6214 0.5838  4 O 1.53-1.55
P 0.6667 0.0435 0.0821  4 O 1.54-1.55
P 0.3765 0.3332 0.0848  4 O 1.54-1.55
P 0.6225 0.6621 0.9167  4 O 1.54-1.57
P 0.0444 0.3733 0.9168  4 O 1.54-1.57
P 0.3333 0.9644 0.9167  4 O 1.55
P 0.6283 0.9579 0.4170  4 O 1.54-1.57
P 0.3366 0.3779 0.4156  4 O 1.54-1.57
P 0.0373 0.6657 0.4159  4 O 1.54-1.55
O 0.2127 0.0362 0.3086  1 P 1.55
O 0.8293 0.7936 0.3045  1 P 1.54
O 0.9753 0.1817 0.3098  1 P 1.54
O 0.2102 0.1670 0.8049  1 P 1.53
O 0.9664 0.7898 0.8090  1 P 1.54
O 0.8308 0.0396 0.8114  1 Si 1.63
O 0.7922 0.9594 0.6894  1 Si 1.63
O 0.1801 0.2165 0.6908  1 P 1.55
O 0.0399 0.8238 0.6929  1 P 1.55
O 0.7820 0.8144 0.1895  1 P 1.54
O 0.0307 0.2057 0.1928  1 P 1.55
O 0.1792 0.9652 0.1928  1 P 1.55
O 0.8823 0.3751 0.6404  1 P 1.55
O 0.4943 0.1183 0.6435  1 Si 1.63
O 0.6344 0.5107 0.6430  1 P 1.55
O 0.8779 0.5018 0.1442  1 Si 1.63
O 0.6217 0.1224 0.1380  1 P 1.54
O 0.4883 0.3679 0.1435  1 P 1.55
O 0.4558 0.2885 0.0289  1 P 1.54
O 0.8359 0.5451 0.0227  1 Si 1.63
O 0.7017 0.1555 0.0231  1 P 1.55
O 0.4526 0.1630 0.5218  1 Si 1.63
O 0.7074 0.5398 0.5279  1 P 1.53
O 0.8431 0.3022 0.5246  1 P 1.54
O 0.5384 0.6961 0.9745  1 P 1.55
O 0.1507 0.4568 0.9757  1 P 1.54
O 0.2983 0.8474 0.9746  1 P 1.55
O 0.5515 0.8522 0.4771  1 P 1.54
O 0.3025 0.4608 0.4738  1 P 1.55
O 0.1541 0.7013 0.4737  1 P 1.55
O 0.1208 0.6306 0.3580  1 P 1.55
O 0.5041 0.8734 0.3622  1 P 1.54
O 0.3578 0.4851 0.3569  1 P 1.54
O 0.1284 0.4912 0.8592  1 P 1.55
O 0.3684 0.8819 0.8586  1 P 1.55
O 0.5166 0.6391 0.8578  1 P 1.54
O 0.0258 0.8349 0.4098  1 P 1.55
O 0.8146 0.9826 0.4104  1 P 1.55
O 0.1690 0.1913 0.4127  1 P 1.57
O 0.0224 0.1884 0.9128  1 P 1.54
O 0.1640 0.9753 0.9107  1 P 1.55
O 0.8092 0.8289 0.9138  1 P 1.57
O 0.9745 0.1679 0.5873  1 P 1.55
O 0.1748 0.0178 0.5890  1 Si 1.65
O 0.8291 0.8076 0.5877  1 P 1.55
O 0.9821 0.8236 0.0889  1 Si 1.65
O 0.8346 0.0295 0.0890  1 P 1.55
O 0.1886 0.1725 0.0907  1 P 1.55
O 0.6904 0.1773 0.7463  1 Si 1.65
O 0.4790 0.3194 0.7446  1 P 1.55
O 0.8321 0.5259 0.7449  1 P 1.55
O 0.6843 0.5217 0.2459  1 P 1.56
O 0.8336 0.3109 0.2471  1 P 1.54
O 0.4766 0.1690 0.2444  1 P 1.54
O 0.6445 0.4990 0.9207  1 P 1.54
O 0.8576 0.3538 0.9199  1 P 1.57
O 0.5023 0.1444 0.9227  1 P 1.55
O 0.6495 0.1451 0.4209  1 P 1.57
O 0.4995 0.3556 0.4192  1 P 1.54
O 0.8568 0.4975 0.4221  1 P 1.54
O 0.3615 0.5004 0.0776  1 P 1.55
O 0.1567 0.6482 0.0780  1 Si 1.65
O 0.5061 0.8560 0.0765  1 P 1.55
O 0.3506 0.8425 0.5772  1 Si 1.65
O 0.4989 0.6363 0.5779  1 P 1.55
O 0.1451 0.4965 0.5761  1 P 1.55
O 0.3075 0.8317 0.2568  1 P 1.55
O 0.5189 0.6844 0.2562  1 P 1.55
O 0.1641 0.4754 0.2539  1 P 1.57
O 0.3052 0.4737 0.7570  1 P 1.55
O 0.1615 0.6828 0.7566  1 P 1.55
O 0.5119 0.8252 0.7552  1 Si 1.65

size of the total moment	0.00	μB/f.u.
E (MP2020)	-6.780	eV/atom
formation energy from the elements	-2570	meV/atom
symmetry	P1, No. 1


(3)
First-principles (PBE) data for a relaxed Na5Ga2SiSn2P5O24 crystal, as listed in the Materials Project.

abc: 8.8032 8.7885 22.3058
angles: 90.13 89.71 119.93
Last column: nearest neighbours and their distance in Å.
Sites, in units of the cell vectors:
Na 0.0031 0.6364 0.2512  4 O 2.33-2.48
Na 0.6318 0.6396 0.7517  4 O 2.34-2.47
Na 0.3680 0.9972 0.7511  6 O 2.38-2.65
Na 0.6640 0.9692 0.5842  4 O 2.32-2.48
Na 0.2969 0.9677 0.0833  6 O 2.40-2.67
Na 0.6732 0.7001 0.0829  5 O 2.36-2.64
Na 0.0296 0.3319 0.0839  5 O 2.37-2.63
Na 0.9672 0.2995 0.4159  4 O 2.37-2.45
Na 0.3351 0.0348 0.4174  5 O 2.40-2.57
Na 0.0027 0.9944 0.4995  6 O 2.42-2.60
Na 0.9996 0.9978 0.9980  6 O 2.49-2.61
Na 0.6736 0.3314 0.8377  6 O 2.42-2.67
Na 0.6612 0.3347 0.3349  6 O 2.45-2.57
Na 0.3375 0.6667 0.1710  6 O 2.46-2.62
Na 0.3241 0.6601 0.6680  6 O 2.52-2.60
Ga 0.9944 0.9952 0.3496  6 O 1.92-2.10
Ga 0.9984 0.9946 0.1522  6 O 1.95-2.13
Ga 0.6724 0.3406 0.9781  6 O 1.90-2.04
Ga 0.6619 0.3376 0.4829  5 O 1.87-2.06
Ga 0.3410 0.6662 0.3151  6 O 1.92-2.08
Ga 0.3341 0.6670 0.8168  6 O 1.95-2.06
Si 0.7058 0.9993 0.7510  4 O 1.60-1.65
Si 0.3727 0.0437 0.5806  4 O 1.62-1.65
Si 0.9554 0.6262 0.0823  4 O 1.61-1.66
Sn 0.9983 0.0018 0.8544  6 O 1.96-2.06
Sn 0.0040 0.0005 0.6475  6 O 1.99-2.12
Sn 0.6700 0.3301 0.6843  6 O 1.99-2.12
Sn 0.6651 0.3308 0.1865  6 O 2.01-2.10
Sn 0.3300 0.6662 0.0140  6 O 2.00-2.14
Sn 0.3309 0.6654 0.5178  6 O 2.01-2.10
P 0.2895 0.9989 0.2514  4 O 1.54-1.56
P 0.7062 0.7139 0.2508  4 O 1.53-1.58
P 0.0043 0.2887 0.2507  4 O 1.54-1.58
P 0.2895 0.2967 0.7510  4 O 1.53-1.57
P 0.0032 0.7057 0.7513  4 O 1.53-1.56
P 0.9586 0.3362 0.5806  4 O 1.54-1.56
P 0.6672 0.6212 0.5819  4 O 1.51-1.56
P 0.6692 0.0448 0.0817  4 O 1.52-1.57
P 0.3757 0.3304 0.0820  4 O 1.53-1.57
P 0.6244 0.6616 0.9155  4 O 1.53-1.58
P 0.0391 0.3764 0.9150  4 O 1.52-1.58
P 0.3386 0.9655 0.9152  4 O 1.53-1.57
P 0.6277 0.9571 0.4146  4 O 1.53-1.57
P 0.3364 0.3766 0.4143  4 O 1.52-1.57
P 0.0371 0.6660 0.4143  4 O 1.55-1.56
O 0.2076 0.0310 0.3077  1 P 1.54
O 0.8304 0.7935 0.3046  1 P 1.54
O 0.9705 0.1762 0.3072  1 P 1.54
O 0.2164 0.1714 0.8052  1 P 1.54
O 0.9601 0.7852 0.8060  1 P 1.54
O 0.8309 0.0374 0.8077  1 Si 1.60
O 0.7819 0.9546 0.6896  1 Si 1.65
O 0.1805 0.2171 0.6942  1 P 1.53
O 0.0428 0.8228 0.6949  1 P 1.55
O 0.7856 0.8191 0.1920  1 P 1.55
O 0.0302 0.2075 0.1924  1 P 1.55
O 0.1778 0.9651 0.1937  1 P 1.56
O 0.8851 0.3728 0.6383  1 P 1.54
O 0.4913 0.1154 0.6420  1 Si 1.65
O 0.6346 0.5173 0.6415  1 P 1.56
O 0.8846 0.5057 0.1436  1 Si 1.65
O 0.6210 0.1135 0.1388  1 P 1.55
O 0.4906 0.3737 0.1390  1 P 1.55
O 0.4570 0.2921 0.0276  1 P 1.53
O 0.8261 0.5356 0.0266  1 Si 1.61
O 0.7026 0.1624 0.0274  1 P 1.52
O 0.4621 0.1599 0.5213  1 Si 1.62
O 0.7010 0.5395 0.5274  1 P 1.51
O 0.8429 0.2999 0.5248  1 P 1.54
O 0.5512 0.7009 0.9746  1 P 1.58
O 0.1475 0.4453 0.9749  1 P 1.58
O 0.2985 0.8536 0.9742  1 P 1.57
O 0.5535 0.8489 0.4735  1 P 1.56
O 0.2912 0.4497 0.4716  1 P 1.57
O 0.1571 0.7075 0.4703  1 P 1.56
O 0.1202 0.6286 0.3588  1 P 1.55
O 0.5018 0.8724 0.3619  1 P 1.53
O 0.3653 0.4932 0.3602  1 P 1.52
O 0.1300 0.4945 0.8614  1 P 1.52
O 0.3645 0.8779 0.8597  1 P 1.53
O 0.5118 0.6355 0.8601  1 P 1.53
O 0.0264 0.8364 0.4083  1 P 1.55
O 0.8148 0.9823 0.4084  1 P 1.55
O 0.1679 0.1902 0.4090  1 P 1.57
O 0.0267 0.1934 0.9125  1 P 1.56
O 0.1684 0.9779 0.9110  1 P 1.56
O 0.8083 0.8295 0.9127  1 P 1.55
O 0.9670 0.1642 0.5870  1 P 1.56
O 0.1794 0.0228 0.5863  1 Si 1.62
O 0.8280 0.8096 0.5868  1 P 1.56
O 0.9798 0.8233 0.0908  1 Si 1.65
O 0.8335 0.0257 0.0901  1 P 1.55
O 0.1895 0.1698 0.0904  1 P 1.55
O 0.6811 0.1717 0.7469  1 Si 1.64
O 0.4766 0.3164 0.7447  1 P 1.57
O 0.8295 0.5279 0.7442  1 P 1.56
O 0.6952 0.5289 0.2458  1 P 1.58
O 0.8372 0.3115 0.2465  1 P 1.58
O 0.4741 0.1657 0.2455  1 P 1.56
O 0.6382 0.4949 0.9220  1 P 1.54
O 0.8567 0.3576 0.9222  1 P 1.54
O 0.5034 0.1461 0.9235  1 P 1.54
O 0.6463 0.1431 0.4213  1 P 1.57
O 0.4989 0.3539 0.4212  1 P 1.55
O 0.8577 0.4959 0.4234  1 P 1.55
O 0.3588 0.4998 0.0770  1 P 1.57
O 0.1536 0.6468 0.0779  1 Si 1.66
O 0.5039 0.8560 0.0769  1 P 1.57
O 0.3633 0.8510 0.5776  1 Si 1.65
O 0.5028 0.6438 0.5774  1 P 1.56
O 0.1438 0.4974 0.5769  1 P 1.54
O 0.3035 0.8298 0.2570  1 P 1.56
O 0.5230 0.6924 0.2571  1 P 1.53
O 0.1640 0.4777 0.2562  1 P 1.56
O 0.3134 0.4806 0.7580  1 P 1.53
O 0.1675 0.6900 0.7579  1 P 1.53
O 0.5110 0.8231 0.7572  1 Si 1.65

size of the total moment	0.00	μB/f.u.
E (MP2020)	-6.955	eV/atom
formation energy from the elements	-2546	meV/atom
symmetry	P1, No. 1